Na3AlF6: optimized geometry, PBE.

abc: 5.5945 5.5945 13.8359
angles: 90.00 90.00 120.00
With the nearest neighbours (Å) after each atom.
Space group R-3 (No. 148, hexagonal axes)
Asymmetric unit:
Na (0.0000, 0.0000, 0.0000) [3 per cell]  6 F 2.28
Na (0.0000, 0.0000, 0.2512) [6 per cell]  3 F 2.28
Al (0.0000, 0.0000, 0.5000) [3 per cell]  6 F 1.83
F (0.0430, 0.6160, 0.2426) [18 per cell]  1 Al 1.83

Results
E above lowest polymorph in eV per atom: 0.013
MP2020-corrected energy in eV/atom: -5.30
E_form in meV per atom: -3380
ρ in g cm⁻³: 2.789



Ca3Sn3As4O16: optimized geometry, PBE.

abc: 9.8177 5.5397 18.0877
angles: 90.00 119.44 90.00
With the nearest neighbours (Å) after each atom.
Space group P2_1/c (No. 14)
Asymmetric unit:
Ca (0.0000, 0.0000, 0.0000) [2 per cell]  4 O 2.29-2.33
Ca (0.1849, 0.0667, 0.2560) [4 per cell]  5 O 2.31-2.57
Sn (0.4484, 0.5193, 0.6346) [4 per cell]  3 O 2.22-2.29
Sn (0.5000, 0.0000, 0.5000) [2 per cell]  4 O 2.39-2.49
As (0.2262, 0.5275, 0.3878) [4 per cell]  4 O 1.70-1.76
As (0.2535, 0.5299, 0.1428) [4 per cell]  4 O 1.67-1.77
O (0.0671, 0.0867, 0.8003) [4 per cell]  1 As 1.71
O (0.1126, 0.1546, 0.5744) [4 per cell]  1 As 1.67
O (0.1943, 0.6763, 0.6462) [4 per cell]  1 As 1.74
O (0.2138, 0.5343, 0.4782) [4 per cell]  1 As 1.70
O (0.2844, 0.6919, 0.8714) [4 per cell]  1 As 1.73
O (0.3288, 0.1108, 0.7411) [4 per cell]  1 As 1.74
O (0.3801, 0.1690, 0.9051) [4 per cell]  1 As 1.76
O (0.4122, 0.5847, 0.1248) [4 per cell]  1 As 1.77

Results
MP2020-corrected energy in eV/atom: -6.63
E_form in meV per atom: -2178
ρ in g cm⁻³: 4.001



Na3Zr: optimized geometry, PBE.

abc: 6.9481 6.9481 5.5976
angles: 90.00 90.00 120.00
With the nearest neighbours (Å) after each atom.
Space group P6_3/mmc (No. 194)
Asymmetric unit:
Na (0.1666, 0.3332, 0.2500) [6 per cell]  8 Na 3.44-3.48, 4 Zr 3.44-3.47
Zr (0.3333, 0.6667, 0.7500) [2 per cell]  12 Na 3.44-3.47

Results
E above lowest polymorph in eV per atom: 0.000
E_form in meV per atom: 773
ρ in g cm⁻³: 2.273



Na2Sc4Si3Sn4S9O48: optimized geometry, PBE.

abc: 8.8411 15.2648 23.1338
angles: 90.46 90.14 90.07
With the nearest neighbours (Å) after each atom.
Space group P1 (No. 1)
Asymmetric unit:
Na (0.0000, 0.0000, 0.0000) [1 per cell]  6 O 2.46-2.71
Na (0.0016, 0.9896, 0.4966) [1 per cell]  2 O 2.37-2.46
Na (0.4906, 0.4991, 0.9910) [1 per cell]  1 O 2.27
Na (0.4953, 0.5031, 0.5021) [1 per cell]  5 O 2.44-2.74
Na (0.5116, 0.1666, 0.3325) [1 per cell]  6 O 2.52-2.79
Na (0.9837, 0.6676, 0.8260) [1 per cell]  2 O 2.30-2.57
Sc (0.0004, 0.6797, 0.9812) [1 per cell]  1 O 1.88
Sc (0.0039, 0.0123, 0.8478) [1 per cell]  1 O 1.84
Sc (0.0071, 0.3371, 0.5261) [1 per cell]  2 O 1.86-2.06
Sc (0.0117, 0.3410, 0.0170) [1 per cell]  1 O 1.86
Sc (0.4873, 0.8357, 0.0253) [1 per cell]  1 O 1.87
Sc (0.4876, 0.5127, 0.3504) [1 per cell]  1 O 1.85
Sc (0.4931, 0.8392, 0.5218) [1 per cell]  5 O 1.95-2.18
Sc (0.4946, 0.1788, 0.4826) [1 per cell]  3 O 1.88-2.11
Sc (0.5002, 0.5026, 0.8506) [1 per cell]  4 O 1.92-2.12
Sc (0.5091, 0.1707, 0.1884) [1 per cell]  3 O 1.90-2.11
Sc (0.9766, 0.6762, 0.6845) [1 per cell]  2 O 1.88-1.98
Sc (0.9943, 0.0022, 0.3535) [1 per cell]  6 O 1.98-2.19
Si (0.1353, 0.8228, 0.0831) [1 per cell]  4 O 1.62-1.66
Si (0.1431, 0.1503, 0.7467) [1 per cell]  4 O 1.63-1.64
Si (0.2058, 0.8404, 0.4177) [1 per cell]  4 O 1.61-1.65
Si (0.2936, 0.3420, 0.9167) [1 per cell]  4 O 1.61-1.65
Si (0.3520, 0.6534, 0.2484) [1 per cell]  4 O 1.62-1.66
Si (0.3602, 0.3225, 0.5831) [1 per cell]  4 O 1.62-1.65
Si (0.6445, 0.6485, 0.7514) [1 per cell]  4 O 1.61-1.65
Si (0.8484, 0.8224, 0.5835) [1 per cell]  4 O 1.59-1.68
Si (0.8562, 0.1497, 0.2507) [1 per cell]  4 O 1.59-1.66
Sn (0.0042, 0.6856, 0.4794) [1 per cell]  4 O 1.93-2.14
Sn (0.0119, 0.3325, 0.8107) [1 per cell]  4 O 1.94-2.13
Sn (0.0116, 0.6766, 0.1873) [1 per cell]  5 O 1.94-2.15
Sn (0.4840, 0.1758, 0.6862) [1 per cell]  5 O 1.94-2.16
Sn (0.4861, 0.8320, 0.3148) [1 per cell]  2 O 1.92-1.96
Sn (0.4908, 0.1759, 0.9774) [1 per cell]  5 O 1.91-2.13
Sn (0.4971, 0.5079, 0.1506) [1 per cell]  4 O 1.92-2.12
Sn (0.4966, 0.5079, 0.6485) [1 per cell]  4 O 1.93-2.14
Sn (0.5024, 0.8345, 0.8101) [1 per cell]  5 O 1.92-2.12
Sn (0.9938, 0.3354, 0.3125) [1 per cell]  6 O 1.94-2.14
Sn (0.9969, 0.0041, 0.6472) [1 per cell]  2 O 1.92-1.93
Sn (0.9990, 0.0058, 0.1503) [1 per cell]  4 O 1.93-2.15
S (0.1371, 0.4823, 0.4162) [1 per cell]  4 O 1.46-1.52
S (0.1446, 0.1950, 0.4156) [1 per cell]  4 O 1.46-1.52
S (0.1452, 0.5264, 0.0827) [1 per cell]  4 O 1.46-1.52
S (0.1465, 0.8592, 0.7514) [1 per cell]  4 O 1.46-1.49
S (0.2033, 0.5058, 0.7496) [1 per cell]  4 O 1.46-1.50
S (0.2074, 0.1707, 0.0824) [1 per cell]  4 O 1.46-1.52
S (0.2864, 0.6689, 0.5828) [1 per cell]  4 O 1.45-1.51
S (0.2926, 0.0049, 0.2499) [1 per cell]  4 O 1.46-1.51
S (0.3496, 0.3598, 0.2501) [1 per cell]  4 O 1.46-1.51
S (0.3510, 0.6947, 0.9155) [1 per cell]  4 O 1.46-1.50
S (0.3522, 0.0284, 0.5824) [1 per cell]  4 O 1.45-1.50
S (0.3558, 0.9811, 0.9160) [1 per cell]  4 O 1.46-1.50
S (0.6392, 0.9845, 0.4145) [1 per cell]  4 O 1.46-1.51
S (0.6411, 0.3211, 0.0837) [1 per cell]  4 O 1.45-1.53
S (0.6435, 0.0302, 0.0794) [1 per cell]  4 O 1.45-1.52
S (0.6474, 0.6914, 0.4168) [1 per cell]  4 O 1.46-1.50
S (0.6499, 0.3580, 0.7494) [1 per cell]  4 O 1.46-1.49
S (0.7023, 0.0069, 0.7487) [1 per cell]  4 O 1.47-1.49
S (0.7059, 0.3391, 0.4156) [1 per cell]  4 O 1.46-1.52
S (0.7095, 0.6673, 0.0831) [1 per cell]  4 O 1.46-1.52
S (0.7844, 0.1704, 0.5831) [1 per cell]  4 O 1.46-1.49
S (0.7875, 0.8396, 0.9162) [1 per cell]  4 O 1.46-1.51
S (0.7917, 0.5059, 0.2483) [1 per cell]  4 O 1.45-1.52
S (0.8442, 0.8583, 0.2496) [1 per cell]  4 O 1.45-1.51
S (0.8491, 0.1922, 0.9175) [1 per cell]  4 O 1.47-1.50
S (0.8512, 0.5292, 0.5792) [1 per cell]  4 O 1.46-1.50
S (0.8554, 0.4834, 0.9151) [1 per cell]  4 O 1.48-1.50
O (0.0562, 0.2442, 0.7520) [1 per cell]  1 Si 1.63
O (0.0569, 0.7780, 0.0261) [1 per cell]  1 Si 1.63
O (0.0569, 0.9212, 0.0897) [1 per cell]  1 Si 1.66
O (0.0632, 0.1055, 0.6897) [1 per cell]  1 Si 1.64
O (0.0666, 0.5690, 0.4231) [1 per cell]  1 S 1.47
O (0.0724, 0.4435, 0.3606) [1 per cell]  1 S 1.52
O (0.0729, 0.1091, 0.4085) [1 per cell]  1 S 1.46
O (0.0741, 0.9000, 0.8023) [1 per cell]  1 S 1.48
O (0.0757, 0.4399, 0.0764) [1 per cell]  1 S 1.46
O (0.0782, 0.2386, 0.4659) [1 per cell]  1 S 1.46
O (0.0806, 0.5654, 0.1362) [1 per cell]  1 S 1.48
O (0.0876, 0.7699, 0.7452) [1 per cell]  1 S 1.46
O (0.0963, 0.9257, 0.4102) [1 per cell]  1 Si 1.63
O (0.1002, 0.4289, 0.7553) [1 per cell]  1 S 1.49
O (0.1079, 0.4254, 0.4653) [1 per cell]  1 S 1.46
O (0.1082, 0.7480, 0.4189) [1 per cell]  1 Si 1.65
O (0.1105, 0.0904, 0.0861) [1 per cell]  1 S 1.50
O (0.1100, 0.0906, 0.8034) [1 per cell]  1 Si 1.63
O (0.1116, 0.2474, 0.0736) [1 per cell]  1 S 1.46
O (0.1118, 0.7633, 0.1400) [1 per cell]  1 Si 1.62
O (0.1137, 0.5857, 0.7426) [1 per cell]  1 S 1.46
O (0.1200, 0.5818, 0.0318) [1 per cell]  1 S 1.47
O (0.1233, 0.9110, 0.6981) [1 per cell]  1 S 1.48
O (0.1249, 0.2498, 0.3618) [1 per cell]  1 S 1.52
O (0.1677, 0.6538, 0.2442) [1 per cell]  1 Si 1.63
O (0.1804, 0.3315, 0.5720) [1 per cell]  1 Si 1.62
O (0.1840, 0.0226, 0.5876) [1 per cell]  1 S 1.50
O (0.1836, 0.3554, 0.2577) [1 per cell]  1 S 1.48
O (0.1844, 0.6845, 0.9209) [1 per cell]  1 S 1.49
O (0.1868, 0.3532, 0.9737) [1 per cell]  1 Si 1.63
O (0.1891, 0.3227, 0.8599) [1 per cell]  1 Si 1.63
O (0.1898, 0.9908, 0.9102) [1 per cell]  1 S 1.48
O (0.1936, 0.6776, 0.6341) [1 per cell]  1 S 1.45
O (0.1952, 0.0184, 0.2998) [1 per cell]  1 S 1.46
O (0.1948, 0.6482, 0.5290) [1 per cell]  1 S 1.51
O (0.2039, 0.9867, 0.1954) [1 per cell]  1 S 1.51
O (0.2940, 0.4863, 0.6963) [1 per cell]  1 S 1.50
O (0.2997, 0.5158, 0.8009) [1 per cell]  1 S 1.47
O (0.3009, 0.8238, 0.3574) [1 per cell]  1 Si 1.65
O (0.3018, 0.1524, 0.0290) [1 per cell]  1 S 1.52
O (0.3034, 0.1822, 0.1332) [1 per cell]  1 S 1.46
O (0.3040, 0.4897, 0.4093) [1 per cell]  1 S 1.49
O (0.3110, 0.1849, 0.4205) [1 per cell]  1 S 1.48
O (0.3129, 0.8538, 0.4732) [1 per cell]  1 Si 1.61
O (0.3140, 0.8571, 0.7593) [1 per cell]  1 S 1.49
O (0.3153, 0.5156, 0.0879) [1 per cell]  1 S 1.52
O (0.3150, 0.8324, 0.0718) [1 per cell]  1 Si 1.62
O (0.3267, 0.1543, 0.7433) [1 per cell]  1 Si 1.63
O (0.3719, 0.7502, 0.8628) [1 per cell]  1 S 1.50
O (0.3733, 0.4111, 0.1955) [1 per cell]  1 S 1.51
O (0.3809, 0.0837, 0.5316) [1 per cell]  1 S 1.47
O (0.3807, 0.7461, 0.5747) [1 per cell]  1 S 1.46
O (0.3834, 0.0860, 0.2419) [1 per cell]  1 S 1.49
O (0.3829, 0.2638, 0.6403) [1 per cell]  1 Si 1.62
O (0.3864, 0.5896, 0.3025) [1 per cell]  1 Si 1.62
O (0.3873, 0.5891, 0.5858) [1 per cell]  1 S 1.51
O (0.3872, 0.9273, 0.9666) [1 per cell]  1 S 1.46
O (0.3937, 0.2514, 0.9232) [1 per cell]  1 Si 1.65
O (0.3964, 0.9299, 0.2559) [1 per cell]  1 S 1.48
O (0.4002, 0.4272, 0.9118) [1 per cell]  1 Si 1.61
O (0.4119, 0.2712, 0.2419) [1 per cell]  1 S 1.47
O (0.4171, 0.7378, 0.9667) [1 per cell]  1 S 1.47
O (0.4176, 0.9416, 0.5766) [1 per cell]  1 S 1.45
O (0.4208, 0.0665, 0.6361) [1 per cell]  1 S 1.49
O (0.4208, 0.9425, 0.8618) [1 per cell]  1 S 1.50
O (0.4220, 0.6086, 0.9093) [1 per cell]  1 S 1.46
O (0.4241, 0.4001, 0.3001) [1 per cell]  1 S 1.46
O (0.4286, 0.0690, 0.9225) [1 per cell]  1 S 1.49
O (0.4304, 0.6126, 0.1890) [1 per cell]  1 Si 1.66
O (0.4378, 0.2782, 0.5259) [1 per cell]  1 Si 1.63
O (0.4385, 0.4206, 0.5895) [1 per cell]  1 Si 1.65
O (0.4375, 0.7470, 0.2536) [1 per cell]  1 Si 1.62
O (0.5649, 0.7463, 0.7555) [1 per cell]  1 Si 1.65
O (0.5664, 0.4111, 0.0900) [1 per cell]  1 S 1.53
O (0.5672, 0.2835, 0.0304) [1 per cell]  1 S 1.50
O (0.5684, 0.0725, 0.4191) [1 per cell]  1 S 1.49
O (0.5675, 0.6084, 0.6916) [1 per cell]  1 Si 1.65
O (0.5737, 0.3962, 0.7996) [1 per cell]  1 S 1.46
O (0.5761, 0.6033, 0.4092) [1 per cell]  1 S 1.49
O (0.5772, 0.0712, 0.1308) [1 per cell]  1 S 1.46
O (0.5770, 0.9440, 0.0702) [1 per cell]  1 S 1.45
O (0.5781, 0.7330, 0.4669) [1 per cell]  1 S 1.46
O (0.5787, 0.9442, 0.3591) [1 per cell]  1 S 1.51
O (0.5902, 0.2677, 0.7414) [1 per cell]  1 S 1.49
O (0.5983, 0.9311, 0.7573) [1 per cell]  1 S 1.49
O (0.6064, 0.5894, 0.8069) [1 per cell]  1 Si 1.61
O (0.6073, 0.2684, 0.1345) [1 per cell]  1 S 1.46
O (0.6094, 0.4171, 0.4084) [1 per cell]  1 S 1.48
O (0.6093, 0.9309, 0.4651) [1 per cell]  1 S 1.46
O (0.6123, 0.2581, 0.4184) [1 per cell]  1 S 1.49
O (0.6124, 0.5853, 0.0869) [1 per cell]  1 S 1.52
O (0.6126, 0.0872, 0.7395) [1 per cell]  1 S 1.48
O (0.6131, 0.7441, 0.0758) [1 per cell]  1 S 1.46
O (0.6182, 0.0864, 0.0266) [1 per cell]  1 S 1.52
O (0.6261, 0.4102, 0.6960) [1 per cell]  1 S 1.49
O (0.6293, 0.7439, 0.3629) [1 per cell]  1 S 1.50
O (0.6721, 0.8338, 0.5712) [1 per cell]  1 Si 1.59
O (0.6727, 0.1625, 0.2413) [1 per cell]  1 Si 1.65
O (0.6793, 0.8531, 0.2586) [1 per cell]  1 S 1.47
O (0.6825, 0.1798, 0.9253) [1 per cell]  1 S 1.50
O (0.6827, 0.5209, 0.5845) [1 per cell]  1 S 1.50
O (0.6882, 0.1550, 0.5317) [1 per cell]  1 S 1.48
O (0.6897, 0.4926, 0.9108) [1 per cell]  1 S 1.48
O (0.6917, 0.8497, 0.9672) [1 per cell]  1 S 1.46
O (0.6938, 0.1815, 0.6369) [1 per cell]  1 S 1.49
O (0.6948, 0.5189, 0.2984) [1 per cell]  1 S 1.45
O (0.6946, 0.8272, 0.8620) [1 per cell]  1 S 1.51
O (0.7017, 0.4828, 0.1943) [1 per cell]  1 S 1.52
O (0.7927, 0.9854, 0.6965) [1 per cell]  1 S 1.49
O (0.7970, 0.0195, 0.8004) [1 per cell]  1 S 1.47
O (0.7975, 0.3260, 0.3607) [1 per cell]  1 S 1.52
O (0.7991, 0.6784, 0.1371) [1 per cell]  1 S 1.48
O (0.8024, 0.3317, 0.0748) [1 per cell]  1 S 1.45
O (0.8028, 0.3498, 0.4661) [1 per cell]  1 S 1.46
O (0.8050, 0.6524, 0.0319) [1 per cell]  1 S 1.47
O (0.8051, 0.9941, 0.4095) [1 per cell]  1 S 1.48
O (0.8108, 0.0225, 0.0845) [1 per cell]  1 S 1.49
O (0.8123, 0.6770, 0.4234) [1 per cell]  1 S 1.48
O (0.8156, 0.3533, 0.7589) [1 per cell]  1 S 1.48
O (0.8270, 0.6582, 0.7468) [1 per cell]  1 Si 1.62
O (0.8674, 0.2449, 0.8646) [1 per cell]  1 S 1.48
O (0.8672, 0.9098, 0.1951) [1 per cell]  1 S 1.51
O (0.8771, 0.2489, 0.5756) [1 per cell]  1 S 1.46
O (0.8784, 0.5834, 0.5265) [1 per cell]  1 S 1.50
O (0.8796, 0.5864, 0.2375) [1 per cell]  1 S 1.48
O (0.8805, 0.7582, 0.9191) [1 per cell]  1 S 1.49
O (0.8828, 0.0914, 0.5872) [1 per cell]  1 S 1.49
O (0.8855, 0.4295, 0.9666) [1 per cell]  1 S 1.48
O (0.8852, 0.9174, 0.9098) [1 per cell]  1 S 1.48
O (0.8855, 0.0888, 0.3053) [1 per cell]  1 Si 1.59
O (0.8859, 0.7641, 0.6396) [1 per cell]  1 Si 1.61
O (0.8952, 0.4304, 0.2563) [1 per cell]  1 S 1.48
O (0.9046, 0.7680, 0.2412) [1 per cell]  1 S 1.49
O (0.9138, 0.4413, 0.5704) [1 per cell]  1 S 1.46
O (0.9146, 0.2344, 0.9690) [1 per cell]  1 S 1.47
O (0.9171, 0.4424, 0.8611) [1 per cell]  1 S 1.50
O (0.9177, 0.1040, 0.9111) [1 per cell]  1 S 1.48
O (0.9176, 0.5668, 0.6316) [1 per cell]  1 S 1.46
O (0.9227, 0.8972, 0.2987) [1 per cell]  1 S 1.45
O (0.9270, 0.5711, 0.9214) [1 per cell]  1 S 1.49
O (0.9285, 0.1098, 0.1897) [1 per cell]  1 Si 1.66
O (0.9306, 0.2487, 0.2557) [1 per cell]  1 Si 1.65
O (0.9335, 0.7838, 0.5255) [1 per cell]  1 Si 1.65
O (0.9338, 0.9203, 0.5887) [1 per cell]  1 Si 1.68

Results
MP2020-corrected energy in eV/atom: -7.16
E_form in meV per atom: -2374
ρ in g cm⁻³: 2.938